# 1
Entry from Materials Project: an optimized crystal structure of Dy5Re2O12 (PBE).

Unit cell a=7.5701 b=5.6817 c=12.4575 alpha=90.00 beta=107.52 gamma=90.00
Last column: nearest neighbours and their distance in Å.
Fractional positions:
Dy 0.0864 0.2500 0.4468  7 O 2.28-2.42
Dy 0.1114 0.7500 0.9365  7 O 2.28-2.49
Dy 0.2529 0.2500 0.7503  6 O 2.22-2.33
Dy 0.3896 0.7500 0.5643  7 O 2.28-2.51
Dy 0.4120 0.2500 0.0541  7 O 2.28-2.45
Dy 0.5880 0.7500 0.9459  7 O 2.28-2.45
Dy 0.6104 0.2500 0.4357  7 O 2.28-2.51
Dy 0.7471 0.7500 0.2497  6 O 2.22-2.33
Dy 0.8886 0.2500 0.0635  7 O 2.28-2.49
Dy 0.9136 0.7500 0.5532  7 O 2.28-2.42
Re 0.2471 0.5359 0.2507  6 O 1.97-2.10
Re 0.2471 0.9641 0.2507  6 O 1.97-2.10
Re 0.7529 0.0359 0.7493  6 O 1.97-2.10
Re 0.7529 0.4641 0.7493  6 O 1.97-2.10
O 0.0396 0.7500 0.2487  2 Re 1.98, 1 Dy 2.22
O 0.0710 0.2500 0.2509  2 Re 2.10, 1 Dy 2.33
O 0.1681 0.0025 0.0856  1 Re 1.97
O 0.1681 0.4975 0.0856  1 Re 1.97
O 0.1713 0.5019 0.5962  4 Dy 2.28-2.33
O 0.1713 0.9981 0.5962  4 Dy 2.28-2.33
O 0.3270 0.0029 0.4156  1 Re 1.97
O 0.3270 0.4971 0.4156  1 Re 1.97
O 0.3308 0.5018 0.9049  4 Dy 2.28-2.33
O 0.3308 0.9982 0.9049  4 Dy 2.28-2.33
O 0.4231 0.2500 0.2498  2 Re 2.10, 1 Dy 2.32
O 0.4554 0.7500 0.2536  2 Re 1.98
O 0.5446 0.2500 0.7464  2 Re 1.98
O 0.5769 0.7500 0.7502  2 Re 2.10, 1 Dy 2.32
O 0.6692 0.0018 0.0951  4 Dy 2.28-2.33
O 0.6692 0.4982 0.0951  4 Dy 2.28-2.33
O 0.6730 0.5029 0.5844  1 Re 1.97
O 0.6730 0.9971 0.5844  1 Re 1.97
O 0.8287 0.0019 0.4038  4 Dy 2.28-2.33
O 0.8287 0.4981 0.4038  4 Dy 2.28-2.33
O 0.8319 0.5025 0.9144  1 Re 1.97
O 0.8319 0.9975 0.9144  1 Re 1.97
O 0.9290 0.7500 0.7491  2 Re 2.10, 1 Dy 2.33
O 0.9604 0.2500 0.7513  2 Re 1.98, 1 Dy 2.22

The value obtained for the calculated volume is 13.446 A^3/atom. Its space group is P2_1/m, No. 11. Its formation energy from the elements is -324.0 kJ per mole of atoms.

***

# 2
Entry from Materials Project: an optimized crystal structure of Dy3ReO7 (PBE).

Unit cell a=6.4491 b=6.4491 c=7.4574 alpha=90.00 beta=90.00 gamma=109.40
Last column: nearest neighbours and their distance in Å.
Fractional positions:
Dy 0.0192 0.0192 0.0000  6 O 2.32-2.46
Dy 0.0345 0.5004 0.2503  7 O 2.22-2.43
Dy 0.5004 0.0345 0.7497  7 O 2.22-2.43
Dy 0.4996 0.9655 0.2497  7 O 2.22-2.43
Dy 0.9655 0.4996 0.7503  7 O 2.22-2.43
Dy 0.9808 0.9808 0.5000  6 O 2.32-2.46
Re 0.4984 0.4984 0.5000  6 O 1.95-2.01
Re 0.5016 0.5016 0.0000  6 O 1.95-2.01
O 0.1301 0.8699 0.7500  4 Dy 2.27-2.32
O 0.1360 0.8640 0.2500  4 Dy 2.22-2.35
O 0.1766 0.4207 0.9713  1 Re 2.00
O 0.1832 0.4355 0.5303  1 Re 1.95
O 0.4207 0.1766 0.0287  1 Re 2.00
O 0.4292 0.5708 0.2500  2 Re 2.01
O 0.4355 0.1832 0.4697  1 Re 1.95
O 0.5645 0.8168 0.9697  1 Re 1.95
O 0.5708 0.4292 0.7500  2 Re 2.01
O 0.5793 0.8234 0.5287  1 Re 2.00
O 0.8168 0.5645 0.0303  1 Re 1.95
O 0.8234 0.5793 0.4713  1 Re 2.00
O 0.8640 0.1360 0.7500  4 Dy 2.22-2.35
O 0.8699 0.1301 0.2500  4 Dy 2.27-2.32

The value obtained for the calculated volume is 13.297 A^3/atom. Its space group is C222_1, No. 20. Its formation energy from the elements is -324.8 kJ per mole of atoms.

***

# 3
Entry from Materials Project: an optimized crystal structure of DyRhO3 (PBE).

Unit cell a=3.9403 b=3.9403 c=3.9403 alpha=90.00 beta=90.00 gamma=90.00
Last column: nearest neighbours and their distance in Å.
Fractional positions:
Dy 0.0000 0.0000 0.0000  12 O 2.79
Rh 0.5000 0.5000 0.5000  6 O 1.97
O 0.0000 0.5000 0.5000  2 Rh 1.97
O 0.5000 0.0000 0.5000  2 Rh 1.97
O 0.5000 0.5000 0.0000  2 Rh 1.97

The value obtained for the calculated volume is 12.236 A^3/atom. Its space group is Pm-3m, No. 221. Its formation energy from the elements is -194.4 kJ per mole of atoms.

***

# 4
Entry from Materials Project: an optimized crystal structure of DyRhO3 (PBE).

Unit cell a=5.8244 b=7.6722 c=5.2842 alpha=90.00 beta=90.00 gamma=90.00
Last column: nearest neighbours and their distance in Å.
Fractional positions:
Dy 0.0854 0.2500 0.0319  6 O 2.24-2.47
Dy 0.4146 0.7500 0.5319  6 O 2.24-2.47
Dy 0.5854 0.2500 0.4681  6 O 2.24-2.47
Dy 0.9146 0.7500 0.9681  6 O 2.24-2.47
Rh 0.0000 0.0000 0.5000  6 O 2.07-2.09
Rh 0.0000 0.5000 0.5000  6 O 2.07-2.09
Rh 0.5000 0.0000 0.0000  6 O 2.07-2.09
Rh 0.5000 0.5000 0.0000  6 O 2.07-2.09
O 0.0531 0.7500 0.3627  2 Rh 2.07, 2 Dy 2.24-2.29
O 0.1905 0.5638 0.8225  2 Rh 2.09, 1 Dy 2.28
O 0.1905 0.9362 0.8225  2 Rh 2.09, 1 Dy 2.28
O 0.3095 0.0638 0.3225  2 Rh 2.09, 1 Dy 2.28
O 0.3095 0.4362 0.3225  2 Rh 2.09, 1 Dy 2.28
O 0.4469 0.2500 0.8627  2 Rh 2.07, 2 Dy 2.24-2.29
O 0.5531 0.7500 0.1373  2 Rh 2.07, 2 Dy 2.24-2.29
O 0.6905 0.5638 0.6775  2 Rh 2.09, 1 Dy 2.28
O 0.6905 0.9362 0.6775  2 Rh 2.09, 1 Dy 2.28
O 0.8095 0.0638 0.1775  2 Rh 2.09, 1 Dy 2.28
O 0.8095 0.4362 0.1775  2 Rh 2.09, 1 Dy 2.28
O 0.9469 0.2500 0.6373  2 Rh 2.07, 2 Dy 2.24-2.29

The value obtained for the calculated volume is 11.807 A^3/atom. Its space group is Pnma, No. 62. Its formation energy from the elements is -249.3 kJ per mole of atoms.

***

# 5
Entry from Materials Project: an optimized crystal structure of Sr2DyRuO6 (PBE).

Unit cell a=5.8460 b=5.8539 c=10.0970 alpha=90.00 beta=125.11 gamma=90.00
Last column: nearest neighbours and their distance in Å.
Fractional positions:
Sr 0.2428 0.0316 0.2486  6 O 2.54-2.84
Sr 0.2428 0.4684 0.7486  6 O 2.54-2.84
Sr 0.7572 0.5316 0.2514  6 O 2.54-2.84
Sr 0.7572 0.9684 0.7514  6 O 2.54-2.84
Dy 0.5000 0.0000 0.0000  6 O 2.24
Dy 0.5000 0.5000 0.5000  6 O 2.24
Ru 0.0000 0.0000 0.5000  6 O 1.99
Ru 0.0000 0.5000 0.0000  6 O 1.99
O 0.1578 0.2276 0.9607  1 Ru 1.99
O 0.1578 0.2724 0.4607  1 Ru 1.99
O 0.2297 0.7007 0.9610  1 Ru 1.99
O 0.2297 0.7993 0.4610  1 Ru 1.99
O 0.3087 0.0178 0.7343  1 Ru 1.99
O 0.3087 0.4822 0.2343  1 Ru 1.99
O 0.6913 0.5178 0.7657  1 Ru 1.99
O 0.6913 0.9822 0.2657  1 Ru 1.99
O 0.7703 0.2007 0.5390  1 Ru 1.99
O 0.7703 0.2993 0.0390  1 Ru 1.99
O 0.8422 0.7276 0.5393  1 Ru 1.99
O 0.8422 0.7724 0.0393  1 Ru 1.99

The value obtained for the calculated volume is 14.134 A^3/atom. Its space group is P2_1/c, No. 14. Its formation energy from the elements is -275.9 kJ per mole of atoms.

***

# 6
Entry from Materials Project: an optimized crystal structure of Dy3Sb5O12 (PBE).

Unit cell a=9.4182 b=9.4182 c=9.4182 alpha=109.47 beta=109.47 gamma=109.47
Last column: nearest neighbours and their distance in Å.
Fractional positions:
Dy 0.2500 0.5000 0.7500  4 O 2.25
Dy 0.2500 0.7500 0.5000  4 O 2.25
Dy 0.5000 0.2500 0.7500  4 O 2.25
Dy 0.5000 0.7500 0.2500  4 O 2.25
Dy 0.7500 0.2500 0.5000  4 O 2.25
Dy 0.7500 0.5000 0.2500  4 O 2.25
Sb 0.0000 0.0000 0.5147  3 O 2.03
Sb 0.0000 0.2839 0.2839  2 O 1.98
Sb 0.0000 0.5147 0.0000  3 O 2.03
Sb 0.0000 0.7161 0.7161  2 O 1.98
Sb 0.2839 0.0000 0.2839  2 O 1.98
Sb 0.2839 0.2839 0.0000  2 O 1.98
Sb 0.4853 0.4853 0.4853  3 O 2.03
Sb 0.5147 0.0000 0.0000  3 O 2.03
Sb 0.7161 0.0000 0.7161  2 O 1.98
Sb 0.7161 0.7161 0.0000  2 O 1.98
O 0.0000 0.2015 0.4794  2 Sb 2.03-2.22
O 0.0000 0.4794 0.2015  2 Sb 2.03-2.22
O 0.0000 0.5019 0.7036  1 Sb 1.98
O 0.0000 0.7036 0.5019  1 Sb 1.98
O 0.2015 0.0000 0.4794  2 Sb 2.03-2.22
O 0.2015 0.4794 0.0000  2 Sb 2.03-2.22
O 0.2017 0.4981 0.4981  1 Sb 1.98
O 0.2780 0.7985 0.7985  2 Sb 2.03-2.22
O 0.2964 0.2964 0.7983  1 Sb 1.98
O 0.2964 0.7983 0.2964  1 Sb 1.98
O 0.4794 0.0000 0.2015  2 Sb 2.03-2.22
O 0.4794 0.2015 0.0000  2 Sb 2.03-2.22
O 0.4981 0.2017 0.4981  1 Sb 1.98
O 0.4981 0.4981 0.2017  1 Sb 1.98
O 0.5019 0.0000 0.7036  1 Sb 1.98
O 0.5019 0.7036 0.0000  1 Sb 1.98
O 0.5206 0.5206 0.7220  2 Sb 2.03-2.22
O 0.5206 0.7220 0.5206  2 Sb 2.03-2.22
O 0.7036 0.0000 0.5019  1 Sb 1.98
O 0.7036 0.5019 0.0000  1 Sb 1.98
O 0.7220 0.5206 0.5206  2 Sb 2.03-2.22
O 0.7983 0.2964 0.2964  1 Sb 1.98
O 0.7985 0.2780 0.7985  2 Sb 2.03-2.22
O 0.7985 0.7985 0.2780  2 Sb 2.03-2.22

The value obtained for the calculated volume is 16.078 A^3/atom. Its space group is I-43m, No. 217. Its formation energy from the elements is -257.3 kJ per mole of atoms.

***

- The lowest formation energy from the elements belongs to which entry?
  Dy3ReO7